[1]
A relaxed structure of Mn5VO8. Source: Materials Project, functional r²SCAN.

Values from the calculation:
Magnetization (μB per formula unit): 24.00
Calculated volume (Å³/cell): 321
Energy of formation (meV/atom): -2204
DFT total energy (eV/atom): -11.87
Symmetry: No. 12

Lattice parameters (Å, degrees): 10.2137 10.2137 5.4035 80.51 80.51 35.26
Closest atoms and distances in Å follow each position.
Fractional positions:
Mn (0.6334, 0.6334, 0.2400)  6 O 2.11-2.23
Mn (0.3666, 0.3666, 0.7600)  6 O 2.11-2.23
Mn (0.7524, 0.2476, 0.5000)  6 O 2.18-2.25
Mn (0.2476, 0.7524, 0.5000)  6 O 2.18-2.25
Mn (0.8896, 0.3771, 0.7429)  6 O 2.09-2.24
Mn (0.3771, 0.8896, 0.7429)  6 O 2.09-2.24
Mn (0.1104, 0.6229, 0.2571)  6 O 2.09-2.24
Mn (0.6229, 0.1104, 0.2571)  6 O 2.09-2.24
Mn (0.0000, 0.0000, 0.0000)  2 O 1.90
Mn (0.5000, 0.5000, 0.0000)  4 O 1.93
V (0.2135, 0.2135, 0.1959)  4 O 1.74-1.79
V (0.7865, 0.7865, 0.8041)  4 O 1.74-1.79
O (0.4120, 0.9546, 0.3665)  1 V 1.74
O (0.9546, 0.4120, 0.3665)  1 V 1.74
O (0.5880, 0.0454, 0.6335)  1 V 1.74
O (0.0454, 0.5880, 0.6335)  1 V 1.74
O (0.3355, 0.7805, 0.1041)  1 Mn 1.93
O (0.7805, 0.3355, 0.1041)  1 Mn 1.93
O (0.6645, 0.2195, 0.8959)  1 Mn 1.93
O (0.2195, 0.6645, 0.8959)  1 Mn 1.93
O (0.4301, 0.4301, 0.3947)  6 Mn 2.14-2.32
O (0.5699, 0.5699, 0.6053)  6 Mn 2.14-2.32
O (0.9444, 0.9444, 0.3265)  1 Mn 1.90
O (0.0556, 0.0556, 0.6735)  1 Mn 1.90
O (0.1837, 0.1837, 0.9104)  1 V 1.74
O (0.8163, 0.8163, 0.0896)  1 V 1.74
O (0.6930, 0.6930, 0.8675)  1 V 1.79
O (0.3070, 0.3070, 0.1325)  1 V 1.79

***

[2]
A relaxed structure of Mn2V2O7. Source: Materials Project, functional r²SCAN.

Values from the calculation:
Magnetization (μB per formula unit): 10.00
Calculated volume (Å³/cell): 136
Energy of formation (meV/atom): -2434
DFT total energy (eV/atom): -11.47
Symmetry: No. 5

Lattice parameters (Å, degrees): 5.0088 5.4007 5.4008 107.70 96.89 96.88
Closest atoms and distances in Å follow each position.
Fractional positions:
Mn (0.5000, 0.6853, 0.3147)  6 O 2.05-2.19
Mn (0.5000, 0.3103, 0.6897)  6 O 2.05-2.18
V (0.1038, 0.7501, 0.7549)  4 O 1.73-1.78
V (0.8962, 0.2451, 0.2499)  4 O 1.73-1.78
O (0.0000, 0.9968, 0.0032)  2 V 1.76
O (0.7034, 0.0616, 0.3979)  1 V 1.73
O (0.2966, 0.6021, 0.9384)  1 V 1.73
O (0.7045, 0.3927, 0.0656)  1 V 1.73
O (0.2955, 0.9344, 0.6072)  1 V 1.73
O (0.2218, 0.4199, 0.4243)  1 V 1.78
O (0.7782, 0.5757, 0.5801)  1 V 1.78

***

[3]
A relaxed structure of Mn3WO6. Source: Materials Project, functional r²SCAN.

Values from the calculation:
Magnetization (μB per formula unit): 0.00
Calculated volume (Å³/cell): 235
Energy of formation (meV/atom): -2166
DFT total energy (eV/atom): -15.29
Symmetry: No. 1

Lattice parameters (Å, degrees): 6.1786 6.1704 6.1649 91.74 91.70 91.82
Closest atoms and distances in Å follow each position.
Fractional positions:
Mn (0.7490, 0.4403, 0.9392)  5 O 2.05-2.29
Mn (0.4389, 0.9399, 0.7490)  6 O 2.06-2.29
Mn (0.2513, 0.5601, 0.0619)  6 O 2.05-2.29
Mn (0.0608, 0.2526, 0.5604)  6 O 2.06-2.29
Mn (0.5595, 0.0616, 0.2510)  5 O 2.05-2.28
Mn (0.9389, 0.7484, 0.4391)  6 O 2.05-2.28
W (0.0001, 0.9996, 0.9996)  6 O 1.93-1.94
W (0.4996, 0.5005, 0.5006)  6 O 1.93-1.94
O (0.9217, 0.7040, 0.0696)  1 W 1.94, 1 Mn 2.05
O (0.7059, 0.0681, 0.9210)  1 W 1.93, 1 Mn 2.06
O (0.0690, 0.9205, 0.7042)  1 W 1.93, 1 Mn 2.05
O (0.0794, 0.2949, 0.9305)  1 W 1.94, 1 Mn 2.05
O (0.2956, 0.9308, 0.0781)  1 W 1.94, 1 Mn 2.05
O (0.9316, 0.0782, 0.2950)  1 W 1.93, 1 Mn 2.06
O (0.4473, 0.5948, 0.7948)  1 W 1.93, 1 Mn 2.09
O (0.5945, 0.7952, 0.4478)  1 W 1.93, 2 Mn 2.09-2.16
O (0.2047, 0.5507, 0.4051)  1 W 1.94, 2 Mn 2.09-2.15
O (0.4058, 0.2054, 0.5530)  1 W 1.93, 2 Mn 2.08-2.16
O (0.5513, 0.4046, 0.2047)  1 W 1.94, 2 Mn 2.08-2.15
O (0.7951, 0.4494, 0.5952)  1 W 1.94, 2 Mn 2.09-2.15

***

[4]
A relaxed structure of YMn2O5. Source: Materials Project, functional r²SCAN.

Values from the calculation:
Magnetization (μB per formula unit): 7.00
Calculated volume (Å³/cell): 349
Energy of formation (meV/atom): -2770
DFT total energy (eV/atom): -12.71
Symmetry: No. 55

Lattice parameters (Å, degrees): 5.6821 7.2472 8.4787 90.00 90.00 90.00
Closest atoms and distances in Å follow each position.
Fractional positions:
Y (0.0000, 0.6376, 0.3287)  8 O 2.32-2.47
Y (0.0000, 0.3624, 0.6713)  8 O 2.32-2.47
Y (0.0000, 0.1376, 0.1713)  8 O 2.32-2.47
Y (0.0000, 0.8624, 0.8287)  8 O 2.32-2.47
Mn (0.5000, 0.9117, 0.1506)  5 O 1.90-2.00
Mn (0.5000, 0.0883, 0.8494)  5 O 1.90-2.00
Mn (0.5000, 0.4117, 0.3494)  5 O 1.90-2.00
Mn (0.5000, 0.5883, 0.6506)  5 O 1.90-2.00
Mn (0.2544, 0.5000, 0.0000)  6 O 1.87-1.93
Mn (0.7456, 0.0000, 0.5000)  6 O 1.87-1.93
Mn (0.7456, 0.5000, 0.0000)  6 O 1.87-1.93
Mn (0.2544, 0.0000, 0.5000)  6 O 1.87-1.93
O (0.2718, 0.5000, 0.5000)  2 Mn 1.93
O (0.7282, 0.0000, 0.0000)  2 Mn 1.93
O (0.7282, 0.5000, 0.5000)  2 Mn 1.93
O (0.2718, 0.0000, 0.0000)  2 Mn 1.93
O (0.0000, 0.6631, 0.0560)  2 Mn 1.93
O (0.0000, 0.3369, 0.9440)  2 Mn 1.93
O (0.0000, 0.1632, 0.4440)  2 Mn 1.93
O (0.0000, 0.8368, 0.5560)  2 Mn 1.93
O (0.5000, 0.6532, 0.0665)  3 Mn 1.87-2.00
O (0.5000, 0.3468, 0.9335)  3 Mn 1.87-2.00
O (0.5000, 0.1532, 0.4335)  3 Mn 1.87-2.00
O (0.5000, 0.8468, 0.5665)  3 Mn 1.87-2.00
O (0.2440, 0.8945, 0.2936)  2 Mn 1.90-1.91
O (0.2440, 0.1055, 0.7064)  2 Mn 1.90-1.91
O (0.7560, 0.3945, 0.2064)  2 Mn 1.90-1.91
O (0.7560, 0.6055, 0.7936)  2 Mn 1.90-1.91
O (0.7560, 0.1055, 0.7064)  2 Mn 1.90-1.91
O (0.7560, 0.8945, 0.2936)  2 Mn 1.90-1.91
O (0.2440, 0.6055, 0.7936)  2 Mn 1.90-1.91
O (0.2440, 0.3945, 0.2064)  2 Mn 1.90-1.91

***

[5]
A relaxed structure of YMnO3. Source: Materials Project, functional r²SCAN.

Values from the calculation:
Magnetization (μB per formula unit): 4.00
Calculated volume (Å³/cell): 373
Energy of formation (meV/atom): -3075
DFT total energy (eV/atom): -13.66
Symmetry: No. 185

Lattice parameters (Å, degrees): 6.1380 6.1380 11.4404 90.00 90.00 120.00
Closest atoms and distances in Å follow each position.
Fractional positions:
Y (0.6667, 0.3333, 0.2331)  7 O 2.27-2.44
Y (0.3333, 0.6667, 0.7331)  7 O 2.27-2.44
Y (0.6667, 0.3333, 0.7331)  7 O 2.27-2.44
Y (0.3333, 0.6667, 0.2331)  7 O 2.27-2.44
Y (0.0000, 0.0000, 0.7767)  7 O 2.28-2.32
Y (0.0000, 0.0000, 0.2767)  7 O 2.28-2.32
Mn (0.6663, 0.0000, 0.5015)  5 O 1.87-2.06
Mn (0.6663, 0.6663, 0.0015)  5 O 1.87-2.06
Mn (0.0000, 0.3337, 0.0015)  5 O 1.87-2.06
Mn (0.0000, 0.6663, 0.5015)  5 O 1.87-2.06
Mn (0.3337, 0.3337, 0.5015)  5 O 1.87-2.06
Mn (0.3337, 0.0000, 0.0015)  5 O 1.87-2.06
O (0.6667, 0.3333, 0.0197)  3 Mn 2.06
O (0.3333, 0.6667, 0.5197)  3 Mn 2.06
O (0.6667, 0.3333, 0.5197)  3 Mn 2.06
O (0.3333, 0.6667, 0.0197)  3 Mn 2.06
O (0.0000, 0.0000, 0.9791)  3 Mn 2.06
O (0.0000, 0.0000, 0.4791)  3 Mn 2.06
O (0.3592, 0.0000, 0.8383)  1 Mn 1.87
O (0.3592, 0.3592, 0.3383)  1 Mn 1.87
O (0.0000, 0.6408, 0.3383)  1 Mn 1.87
O (0.0000, 0.3592, 0.8383)  1 Mn 1.87
O (0.6408, 0.6408, 0.8383)  1 Mn 1.87
O (0.6408, 0.0000, 0.3383)  1 Mn 1.87
O (0.3070, 0.0000, 0.1647)  1 Mn 1.87
O (0.3070, 0.3070, 0.6647)  1 Mn 1.87
O (0.0000, 0.6930, 0.6647)  1 Mn 1.87
O (0.0000, 0.3070, 0.1647)  1 Mn 1.87
O (0.6930, 0.6930, 0.1647)  1 Mn 1.87
O (0.6930, 0.0000, 0.6647)  1 Mn 1.87

***

[6]
A relaxed structure of YMnO3. Source: Materials Project, functional r²SCAN.

Values from the calculation:
Magnetization (μB per formula unit): 4.00
Calculated volume (Å³/cell): 125
Energy of formation (meV/atom): -3055
DFT total energy (eV/atom): -13.64
Symmetry: No. 194

Lattice parameters (Å, degrees): 3.5821 3.5821 11.2536 90.00 90.00 120.00
Closest atoms and distances in Å follow each position.
Fractional positions:
Y (0.0000, 0.0000, 0.5000)  6 O 2.28
Y (0.0000, 0.0000, 0.0000)  6 O 2.28
Mn (0.6667, 0.3333, 0.7500)  5 O 1.86-2.07
Mn (0.3333, 0.6667, 0.2500)  5 O 1.86-2.07
O (0.3333, 0.6667, 0.4155)  1 Mn 1.86
O (0.6667, 0.3333, 0.9155)  1 Mn 1.86
O (0.6667, 0.3333, 0.5845)  1 Mn 1.86
O (0.3333, 0.6667, 0.0845)  1 Mn 1.86
O (0.0000, 0.0000, 0.2500)  3 Mn 2.07
O (0.0000, 0.0000, 0.7500)  3 Mn 2.07

***

Number 5 is which compound? YMnO3